# 1
DFT (meta-GGA r2SCAN) results for a relaxed structure of ZrPRu.

```
9
Lattice="6.454 0.000 0.000 -3.227 5.590 0.000 0.000 0.000 3.801" Properties=species:S:1:pos:R:3 pbc="T T T"
Zr -1.885 3.265 0.000
Zr 1.342 2.325 0.000
Zr 3.770 0.000 0.000
P 0.000 0.000 0.000
P 0.000 3.726 1.901
P 3.227 1.863 1.901
Ru -0.789 1.366 1.901
Ru 1.577 0.000 1.901
Ru 2.438 4.224 1.901
```

**Theoretical density**: 8.1 Mg/m³
**Formation energy**: -1.1945 eV per atom

# 2
DFT (meta-GGA r2SCAN) results for a relaxed structure of ZrPRu.

```
12
Lattice="6.452 0.000 0.000 0.000 3.883 0.000 0.000 0.000 7.314" Properties=species:S:1:pos:R:3 pbc="T T T"
Zr 0.136 0.971 1.329
Zr 3.090 2.912 4.986
Zr 3.362 0.971 2.328
Zr 6.316 2.912 5.985
P 1.445 2.912 2.775
P 1.780 0.971 6.432
P 4.671 2.912 0.882
P 5.006 0.971 4.539
Ru 0.973 0.971 4.103
Ru 2.252 2.912 0.446
Ru 4.199 0.971 6.868
Ru 5.478 2.912 3.211
```

**Theoretical density**: 8.1 Mg/m³
**Formation energy**: -1.2107 eV per atom